HoMn2ZnO6: optimized geometry, PBE with a Hubbard U.

a = 7.6495 Å, b = 5.3978 Å, c = 5.1798 Å
α = 90.00°, β = 90.00°, γ = 90.00°
With the nearest neighbours (Å) after each atom.
Fractional positions:
1 Ho 0.0000 0.1852 0.0000  6 O 2.22-2.47
2 Ho 0.5000 0.8148 0.5000  6 O 2.22-2.47
3 Mn 0.2498 0.2596 0.4819  6 O 1.93-2.04
4 Mn 0.2502 0.7404 0.9819  6 O 1.93-2.04
5 Mn 0.7502 0.2596 0.4819  6 O 1.93-2.04
6 Mn 0.7498 0.7404 0.9819  6 O 1.93-2.04
7 Zn 0.0000 0.7063 0.4729  4 O 2.03-2.25
8 Zn 0.5000 0.2937 0.9729  4 O 2.03-2.25
9 O 0.0000 0.3048 0.5879  2 Mn 2.00, 1 Ho 2.23
10 O 0.0000 0.7874 0.8560  1 Zn 2.03, 2 Mn 2.04, 1 Ho 2.27
11 O 0.1891 0.4472 0.1786  2 Mn 1.93-1.94
12 O 0.1886 0.9410 0.2908  2 Mn 1.99-2.04, 1 Zn 2.14
13 O 0.3114 0.0590 0.7908  2 Mn 1.99-2.04, 1 Zn 2.14
14 O 0.3109 0.5528 0.6786  2 Mn 1.93-1.94
15 O 0.5000 0.2126 0.3560  1 Zn 2.03, 2 Mn 2.04, 1 Ho 2.27
16 O 0.5000 0.6952 0.0879  2 Mn 2.00, 1 Ho 2.23
17 O 0.6886 0.0590 0.7908  2 Mn 1.99-2.04, 1 Zn 2.14
18 O 0.6891 0.5528 0.6786  2 Mn 1.93-1.94
19 O 0.8109 0.4472 0.1786  2 Mn 1.93-1.94
20 O 0.8114 0.9410 0.2908  2 Mn 1.99-2.04, 1 Zn 2.14

Results
DFT formation energy = -2.37 eV/atom
calculated volume = 213.88 Å³/cell
density = 6.773 Mg/m³

Co5P2O12: optimized geometry, PBE with a Hubbard U.

a = 5.4307 Å, b = 8.8895 Å, c = 16.9426 Å
α = 90.00°, β = 90.00°, γ = 90.00°
With the nearest neighbours (Å) after each atom.
Fractional positions:
1 Co 0.0302 0.1322 0.0258  1 O 1.82
2 Co 0.0555 0.3716 0.8725  4 O 1.79-1.98
3 Co 0.0640 0.1345 0.2202  3 O 1.88-2.03
4 Co 0.0891 0.4973 0.6814  3 O 1.93-2.05
5 Co 0.2172 0.7261 0.9296  4 O 1.99-2.09
6 Co 0.2828 0.2739 0.4296  4 O 1.99-2.09
7 Co 0.4109 0.5027 0.1814  3 O 1.93-2.05
8 Co 0.4360 0.8655 0.7202  3 O 1.88-2.03
9 Co 0.4445 0.6284 0.3725  4 O 1.79-1.98
10 Co 0.4698 0.8678 0.5258  1 O 1.82
11 Co 0.5302 0.3678 0.9742  1 O 1.82
12 Co 0.5555 0.1284 0.1275  4 O 1.79-1.98
13 Co 0.5640 0.3655 0.7798  3 O 1.88-2.03
14 Co 0.5891 0.0027 0.3186  3 O 1.93-2.05
15 Co 0.7172 0.7739 0.0704  4 O 1.99-2.09
16 Co 0.7828 0.2261 0.5704  4 O 1.99-2.09
17 Co 0.9109 0.9973 0.8186  3 O 1.93-2.05
18 Co 0.9360 0.6345 0.2798  3 O 1.88-2.03
19 Co 0.9445 0.8716 0.6275  4 O 1.79-1.98
20 Co 0.9698 0.6322 0.4742  1 O 1.82
21 P 0.1215 0.9331 0.3743  4 O 1.51-1.57
22 P 0.1805 0.8184 0.1214  4 O 1.54-1.59
23 P 0.3195 0.1816 0.6214  4 O 1.54-1.59
24 P 0.3785 0.0669 0.8743  4 O 1.51-1.57
25 P 0.6215 0.5669 0.6257  4 O 1.51-1.57
26 P 0.6805 0.6816 0.8786  4 O 1.54-1.59
27 P 0.8195 0.3184 0.3786  4 O 1.54-1.59
28 P 0.8785 0.4331 0.1257  4 O 1.51-1.57
29 O 0.0300 0.2697 0.3231  1 P 1.54
30 O 0.0718 0.2580 0.6410  1 P 1.54
31 O 0.0873 0.7789 0.0369  1 P 1.56
32 O 0.1084 0.7748 0.5377  2 Co 1.82-1.96
33 O 0.1138 0.7561 0.3764  1 P 1.57
34 O 0.1268 0.7546 0.6903  1 Co 1.79
35 O 0.1342 0.4916 0.1091  1 P 1.51
36 O 0.1768 0.0078 0.9316  1 P 1.56
37 O 0.2132 0.9959 0.1227  1 P 1.59
38 O 0.2238 0.9778 0.2911  1 P 1.57
39 O 0.2308 0.4953 0.9349  1 Co 1.80
40 O 0.2424 0.4428 0.7797  3 Co 1.88-1.98
41 O 0.2576 0.5572 0.2797  3 Co 1.88-1.98
42 O 0.2692 0.5047 0.4349  1 Co 1.80
43 O 0.2762 0.0222 0.7911  1 P 1.57
44 O 0.2868 0.0041 0.6227  1 P 1.59
45 O 0.3232 0.9922 0.4316  1 P 1.56
46 O 0.3658 0.5084 0.6091  1 P 1.51
47 O 0.3732 0.2454 0.1903  1 Co 1.79
48 O 0.3862 0.2439 0.8764  1 P 1.57
49 O 0.3916 0.2252 0.0377  2 Co 1.82-1.96
50 O 0.4127 0.2211 0.5369  1 P 1.56
51 O 0.4282 0.7420 0.1410  1 P 1.54
52 O 0.4700 0.7303 0.8231  1 P 1.54
53 O 0.5300 0.2303 0.6769  1 P 1.54
54 O 0.5718 0.2420 0.3590  1 P 1.54
55 O 0.5873 0.7211 0.9631  1 P 1.56
56 O 0.6084 0.7252 0.4623  2 Co 1.82-1.96
57 O 0.6138 0.7439 0.6236  1 P 1.57
58 O 0.6268 0.7454 0.3097  1 Co 1.79
59 O 0.6342 0.0084 0.8909  1 P 1.51
60 O 0.6768 0.4922 0.0684  1 P 1.56
61 O 0.7132 0.5041 0.8773  1 P 1.59
62 O 0.7238 0.5222 0.7089  1 P 1.57
63 O 0.7308 0.0047 0.0651  1 Co 1.80
64 O 0.7424 0.0572 0.2203  3 Co 1.88-1.98
65 O 0.7576 0.9428 0.7203  3 Co 1.88-1.98
66 O 0.7692 0.9953 0.5651  1 Co 1.80
67 O 0.7762 0.4778 0.2089  1 P 1.57
68 O 0.7868 0.4959 0.3773  1 P 1.59
69 O 0.8232 0.5078 0.5684  1 P 1.56
70 O 0.8658 0.9916 0.3909  1 P 1.51
71 O 0.8732 0.2546 0.8097  1 Co 1.79
72 O 0.8862 0.2561 0.1236  1 P 1.57
73 O 0.8916 0.2748 0.9623  2 Co 1.82-1.96
74 O 0.9127 0.2789 0.4631  1 P 1.56
75 O 0.9282 0.7580 0.8590  1 P 1.54
76 O 0.9700 0.7697 0.1769  1 P 1.54

Results
DFT formation energy = -1.71 eV/atom
calculated volume = 817.92 Å³/cell
density = 4.455 Mg/m³

BaCrF5: optimized geometry, PBE with a Hubbard U.

a = 5.0683 Å, b = 5.8210 Å, c = 14.2044 Å
α = 90.00°, β = 90.00°, γ = 90.00°
With the nearest neighbours (Å) after each atom.
Fractional positions:
1 Ba 0.2353 0.1611 0.1573  8 F 2.70-2.99
2 Ba 0.2647 0.8389 0.6573  8 F 2.70-2.99
3 Ba 0.7353 0.3389 0.8427  8 F 2.70-2.99
4 Ba 0.7647 0.6611 0.3427  8 F 2.70-2.99
5 Cr 0.1759 0.1481 0.4150  6 F 1.92-1.99
6 Cr 0.3241 0.8519 0.9150  6 F 1.92-1.99
7 Cr 0.6759 0.3519 0.5850  6 F 1.92-1.99
8 Cr 0.8241 0.6481 0.0850  6 F 1.92-1.99
9 F 0.0175 0.8670 0.0028  2 Cr 1.99
10 F 0.0315 0.8926 0.4835  1 Cr 1.92
11 F 0.1185 0.6498 0.1703  1 Cr 1.92
12 F 0.1623 0.0650 0.8285  1 Cr 1.93
13 F 0.1939 0.5961 0.8410  1 Cr 1.94
14 F 0.3061 0.4039 0.3410  1 Cr 1.94
15 F 0.3377 0.9350 0.3285  1 Cr 1.93
16 F 0.3815 0.3502 0.6703  1 Cr 1.92
17 F 0.4685 0.1074 0.9835  1 Cr 1.92
18 F 0.4825 0.1330 0.5028  2 Cr 1.99
19 F 0.5175 0.6330 0.9972  2 Cr 1.99
20 F 0.5315 0.6074 0.5165  1 Cr 1.92
21 F 0.6185 0.8502 0.8297  1 Cr 1.92
22 F 0.6623 0.4350 0.1715  1 Cr 1.93
23 F 0.6939 0.9039 0.1590  1 Cr 1.94
24 F 0.8061 0.0961 0.6590  1 Cr 1.94
25 F 0.8377 0.5650 0.6715  1 Cr 1.93
26 F 0.8815 0.1498 0.3297  1 Cr 1.92
27 F 0.9685 0.3926 0.0165  1 Cr 1.92
28 F 0.9825 0.3670 0.4972  2 Cr 1.99

Results
DFT formation energy = -3.58 eV/atom
calculated volume = 419.06 Å³/cell
density = 4.506 Mg/m³

Li9Mn2Co5O16: optimized geometry, PBE with a Hubbard U.

a = 5.1033 Å, b = 5.1033 Å, c = 20.6142 Å
α = 98.49°, β = 98.49°, γ = 32.76°
With the nearest neighbours (Å) after each atom.
Fractional positions:
1 Li 0.0000 0.0000 0.0000  6 O 2.10-2.14
2 Li 0.2455 0.2455 0.1864  6 O 2.08-2.18
3 Li 0.2472 0.2472 0.6889  6 O 2.09-2.23
4 Li 0.2480 0.2480 0.4398  6 O 2.08-2.22
5 Li 0.2514 0.2514 0.9422  6 O 2.01-2.24
6 Li 0.7486 0.7486 0.0578  6 O 2.01-2.24
7 Li 0.7520 0.7520 0.5602  6 O 2.08-2.22
8 Li 0.7528 0.7528 0.3111  6 O 2.09-2.23
9 Li 0.7545 0.7545 0.8136  6 O 2.08-2.18
10 Mn 0.4943 0.4943 0.1201  5 O 1.83-1.97
11 Mn 0.5057 0.5057 0.8799  5 O 1.83-1.97
12 Co 0.0000 0.0000 0.5000  6 O 2.00-2.10
13 Co 0.0032 0.0032 0.7512  6 O 1.98-2.10
14 Co 0.4994 0.4994 0.6247  6 O 1.94-2.16
15 Co 0.5006 0.5006 0.3753  6 O 1.94-2.16
16 Co 0.9968 0.9968 0.2488  6 O 1.98-2.10
17 O 0.1084 0.1084 0.5960  3 Co 1.94-2.10
18 O 0.1088 0.1088 0.3443  3 Co 1.95-2.10
19 O 0.1098 0.1098 0.0979  2 Mn 1.93, 2 Li 2.08-2.14
20 O 0.1121 0.1121 0.8455  2 Mn 1.97, 1 Co 2.07, 2 Li 2.18
21 O 0.3807 0.3807 0.2781  3 Co 1.98-2.16, 3 Li 2.09-2.13
22 O 0.3810 0.3810 0.5294  3 Co 2.00-2.12, 3 Li 2.08-2.09
23 O 0.3824 0.3824 0.0405  1 Mn 1.83, 2 Li 2.01
24 O 0.3917 0.3917 0.7840  2 Co 1.99, 1 Mn 2.12, 2 Li 2.12
25 O 0.6083 0.6083 0.2160  2 Co 1.99, 1 Mn 2.12, 2 Li 2.12
26 O 0.6176 0.6176 0.9595  1 Mn 1.83, 2 Li 2.01
27 O 0.6190 0.6190 0.4706  3 Co 2.00-2.12, 3 Li 2.08-2.09
28 O 0.6193 0.6193 0.7219  3 Co 1.98-2.16, 3 Li 2.09-2.13
29 O 0.8879 0.8879 0.1545  2 Mn 1.97, 1 Co 2.07, 2 Li 2.18
30 O 0.8902 0.8902 0.9021  2 Mn 1.93, 2 Li 2.08-2.14
31 O 0.8912 0.8912 0.6557  3 Co 1.95-2.10
32 O 0.8916 0.8916 0.4040  3 Co 1.94-2.10

Results
DFT formation energy = -1.83 eV/atom
calculated volume = 287.05 Å³/cell
density = 4.182 Mg/m³
energy above the lowest structure with this stoichiometry = 32 meV per atom

Ba2CaCuNi2F14: optimized geometry, PBE with a Hubbard U.

a = 5.4012 Å, b = 7.3771 Å, c = 14.8801 Å
α = 91.95°, β = 90.39°, γ = 111.12°
With the nearest neighbours (Å) after each atom.
Fractional positions:
1 Ba 0.0000 0.0000 0.0000  10 F 2.67-2.98
2 Ba 0.1131 0.0000 0.4966  9 F 2.68-2.96
3 Ba 0.6165 0.2282 0.2509  8 F 2.66-2.96
4 Ba 0.7351 0.2287 0.7534  10 F 2.74-3.06
5 Ca 0.2874 0.6226 0.1271  8 F 2.29-2.55
6 Ca 0.4492 0.6211 0.6266  8 F 2.27-2.51
7 Cu 0.3657 0.6216 0.3747  4 F 1.89-1.96
8 Cu 0.3680 0.6174 0.8754  4 F 1.87-1.93
9 Ni 0.0079 0.8575 0.7507  6 F 1.83-2.02
10 Ni 0.7252 0.3762 0.9998  6 F 1.86-2.00
11 Ni 0.7657 0.3784 0.4992  6 F 1.86-1.98
12 Ni 0.9679 0.8536 0.2506  6 F 1.89-2.05
13 F 0.0340 0.3687 0.5802  1 Ni 1.90
14 F 0.0471 0.1178 0.2861  1 Ni 1.89
15 F 0.1724 0.7846 0.8582  1 Cu 1.91, 1 Ni 2.01
16 F 0.1965 0.1126 0.7809  1 Ni 1.83
17 F 0.2392 0.9359 0.1503  1 Ni 2.05
18 F 0.2549 0.5028 0.7598  1 Cu 1.89
19 F 0.2583 0.8558 0.3317  1 Ni 1.97, 1 Cu 2.13
20 F 0.2796 0.8617 0.6679  1 Ni 1.91
21 F 0.3654 0.5028 0.2599  1 Cu 1.89
22 F 0.3654 0.7287 0.4924  1 Cu 1.90
23 F 0.4516 0.3703 0.0802  1 Ni 1.90
24 F 0.4727 0.3647 0.4207  1 Ni 1.93
25 F 0.4797 0.7271 0.9907  1 Cu 1.87
26 F 0.5066 0.3010 0.5970  1 Ni 1.98
27 F 0.5375 0.1162 0.9662  1 Ni 1.87
28 F 0.5635 0.4472 0.8919  1 Cu 1.93, 1 Ni 2.00
29 F 0.6872 0.1175 0.4649  1 Ni 1.87
30 F 0.6982 0.8634 0.1669  1 Ni 1.93
31 F 0.7306 0.7830 0.3598  1 Cu 1.92, 1 Ni 2.04
32 F 0.7411 0.8823 0.8296  1 Ni 1.92
33 F 0.7987 0.6053 0.7205  1 Ni 1.83
34 F 0.8115 0.6337 0.5321  1 Ni 1.86
35 F 0.8191 0.9367 0.6505  1 Ni 2.02
36 F 0.9107 0.2979 0.0968  1 Ni 1.97
37 F 0.9212 0.5924 0.2173  1 Ni 1.90
38 F 0.9399 0.6322 0.0300  1 Ni 1.86
39 F 0.9933 0.3519 0.9209  1 Ni 1.92
40 F 0.9990 0.4483 0.3949  1 Cu 1.96, 1 Ni 1.97

Results
DFT formation energy = -2.96 eV/atom
calculated volume = 552.66 Å³/cell
density = 4.577 Mg/m³